Density functional theory data (PBE with a Hubbard U) for Li6V3P8O29 after structural relaxation.

Total magnetization, μB per atom: 0.07
E_form, meV per atom: -2659
Energy above the lowest structure with this stoichiometry, kcal/mol of atoms: 0.09

Cell lengths 9.8101, 9.8197, 13.9266 Å; angles 89.87, 89.95, 60.06 degrees
Space group P1 (No. 1)
One atom of each set of equivalent atoms:
Li (0.0000, 0.0000, 0.0000)
Li (0.0058, 0.4072, 0.4975)
Li (0.1403, 0.4181, 0.9990)
Li (0.2195, 0.1314, 0.0679)
Li (0.3219, 0.3139, 0.6207)
Li (0.3323, 0.7568, 0.1225)
Li (0.4566, 0.7797, 0.6186)
Li (0.5531, 0.9961, 0.4986)
Li (0.5597, 0.8613, 0.0000)
Li (0.5687, 0.4248, 0.4460)
Li (0.9006, 0.7538, 0.1758)
Li (0.9303, 0.1691, 0.6202)
V (0.2314, 0.6578, 0.3150)
V (0.2332, 0.5233, 0.8099)
V (0.6665, 0.0941, 0.3055)
V (0.6676, 0.6564, 0.8116)
V (0.7980, 0.5205, 0.3061)
V (0.8007, 0.0889, 0.8118)
P (0.0095, 0.0004, 0.2173)
P (0.1436, 0.4067, 0.2156)
P (0.1478, 0.8591, 0.7198)
P (0.3203, 0.7731, 0.9045)
P (0.3248, 0.3192, 0.4013)
P (0.4581, 0.1750, 0.9017)
P (0.4646, 0.7672, 0.4036)
P (0.5505, 0.8636, 0.2181)
P (0.5548, 0.0026, 0.7167)
P (0.5621, 0.4276, 0.1870)
P (0.5680, 0.4223, 0.6888)
P (0.8949, 0.7563, 0.4317)
P (0.9004, 0.7565, 0.9350)
P (0.9142, 0.1788, 0.4038)
P (0.9242, 0.3146, 0.9020)
P (0.9990, 0.4108, 0.7164)
O (0.0132, 0.0824, 0.1273)
O (0.0197, 0.0897, 0.3108)
O (0.0198, 0.2937, 0.8024)
O (0.0326, 0.2974, 0.9828)
O (0.0442, 0.6007, 0.8970)
O (0.0482, 0.7451, 0.3855)
O (0.1330, 0.5690, 0.2259)
O (0.1382, 0.7075, 0.7389)
O (0.1482, 0.4260, 0.7179)
O (0.1564, 0.8345, 0.2216)
O (0.2248, 0.3175, 0.1264)
O (0.2262, 0.8854, 0.8158)
O (0.2291, 0.3377, 0.4902)
O (0.2371, 0.3033, 0.3089)
O (0.2391, 0.8587, 0.9956)
O (0.2437, 0.8480, 0.6346)
O (0.3159, 0.3462, 0.8982)
O (0.3180, 0.7504, 0.4027)
O (0.3279, 0.6157, 0.8898)
O (0.3521, 0.4607, 0.3869)
O (0.4126, 0.5749, 0.2302)
O (0.4194, 0.4161, 0.7257)
O (0.4376, 0.0990, 0.8025)
O (0.4399, 0.0859, 0.9836)
O (0.4489, 0.8743, 0.3114)
O (0.4623, 0.8595, 0.1300)
O (0.4815, 0.8466, 0.4913)
O (0.4828, 0.0901, 0.6247)
O (0.4866, 0.1682, 0.4032)
O (0.4886, 0.7524, 0.8990)
O (0.5599, 0.4354, 0.0806)
O (0.5625, 0.5752, 0.7281)
O (0.5694, 0.2757, 0.2312)
O (0.5695, 0.4226, 0.5805)
O (0.5704, 0.0078, 0.2200)
O (0.5707, 0.8380, 0.7182)
O (0.6094, 0.6012, 0.3892)
O (0.6134, 0.1750, 0.8930)
O (0.7079, 0.4307, 0.2328)
O (0.7155, 0.7146, 0.2279)
O (0.7151, 0.9902, 0.7385)
O (0.7207, 0.2750, 0.7281)
O (0.7438, 0.7699, 0.8964)
O (0.7462, 0.2037, 0.3861)
O (0.7515, 0.9099, 0.3888)
O (0.7691, 0.4696, 0.8933)
O (0.8519, 0.5715, 0.7389)
O (0.8608, 0.9823, 0.2287)
O (0.8894, 0.6108, 0.3888)
O (0.8950, 0.1724, 0.9000)
O (0.8947, 0.7530, 0.5384)
O (0.8995, 0.7571, 0.0435)
O (0.9015, 0.3426, 0.4006)
O (0.9138, 0.8998, 0.8966)
O (0.9778, 0.4301, 0.2228)
O (0.9807, 0.0041, 0.7195)
O (0.9828, 0.3398, 0.6247)
O (0.9889, 0.0910, 0.4935)


Density functional theory data (PBE with a Hubbard U) for LiFe2OF3 after structural relaxation.

Total magnetization, μB per atom: 1.14
E_form, meV per atom: -2403
Energy above the lowest structure with this stoichiometry, kcal/mol of atoms: 0.00

Cell lengths 10.4825, 6.2420, 5.1807 Å; angles 90.00, 90.00, 90.00 degrees
Space group Pnma (No. 62)
One atom of each set of equivalent atoms:
Li (0.0919, 0.2500, 0.0224)
Fe (0.0000, 0.0000, 0.5000)
Fe (0.2406, 0.7500, 0.0004)
O (0.0860, 0.2500, 0.6558)
F (0.0727, 0.7500, 0.7954)
F (0.1664, 0.0169, 0.2244)


Density functional theory data (PBE with a Hubbard U) for Ga2NiO4 after structural relaxation.

Total magnetization, μB per atom: 0.29
E_form, meV per atom: -1999
Energy above the lowest structure with this stoichiometry, kcal/mol of atoms: 0.26

Cell lengths 10.2137, 5.9711, 19.5633 Å; angles 90.00, 99.84, 90.00 degrees
Space group Cm (No. 8)
One atom of each set of equivalent atoms:
Ga (0.0000, 0.0000, 0.0000)
Ga (0.9997, 0.5000, 0.5005)
Ga (0.1005, 0.0000, 0.2870)
Ga (0.2002, 0.0000, 0.5685)
Ga (0.1996, 0.5000, 0.0646)
Ga (0.2244, 0.2484, 0.4104)
Ga (0.2250, 0.2499, 0.9081)
Ga (0.2501, 0.0000, 0.7503)
Ga (0.2506, 0.5000, 0.2537)
Ga (0.4499, 0.5000, 0.8167)
Ga (0.4739, 0.2474, 0.1570)
Ga (0.4751, 0.2500, 0.6589)
Ni (0.0999, 0.5000, 0.7837)
Ni (0.2254, 0.0000, 0.1573)
Ni (0.2250, 0.5000, 0.6591)
Ni (0.3499, 0.0000, 0.0332)
Ni (0.3499, 0.5000, 0.5343)
Ni (0.4467, 0.0000, 0.3147)
Ni (0.4748, 0.0000, 0.9084)
Ni (0.4760, 0.5000, 0.4103)
O (0.0330, 0.0000, 0.6005)
O (0.0337, 0.0000, 0.1005)
O (0.0346, 0.5000, 0.6003)
O (0.0358, 0.5000, 0.0981)
O (0.0468, 0.2579, 0.8494)
O (0.0501, 0.2310, 0.3493)
O (0.1531, 0.2582, 0.7184)
O (0.1538, 0.2357, 0.2206)
O (0.1652, 0.5000, 0.9659)
O (0.1655, 0.0000, 0.4704)
O (0.1662, 0.5000, 0.4680)
O (0.1667, 0.0000, 0.9679)
O (0.2760, 0.0000, 0.3512)
O (0.2835, 0.5000, 0.8495)
O (0.2846, 0.0000, 0.8501)
O (0.2851, 0.5000, 0.3514)
O (0.2954, 0.2439, 0.0981)
O (0.2972, 0.2587, 0.6001)
O (0.4031, 0.2419, 0.9681)
O (0.4029, 0.2583, 0.4688)
O (0.4155, 0.5000, 0.7177)
O (0.4166, 0.0000, 0.2099)
O (0.4169, 0.0000, 0.7182)
O (0.4198, 0.5000, 0.2202)


Density functional theory data (PBE with a Hubbard U) for Na3CoBSO7 after structural relaxation.

Total magnetization, μB per atom: 0.00
E_form, meV per atom: -2112
Energy above the lowest structure with this stoichiometry, kcal/mol of atoms: 0.06

Cell lengths 5.2793, 6.8548, 8.9905 Å; angles 89.98, 88.58, 89.85 degrees
Space group P1 (No. 1)
One atom of each set of equivalent atoms:
Na (0.0000, 0.0000, 0.0000)
Na (0.0007, 0.5158, 0.0002)
Na (0.0088, 0.7576, 0.6962)
Na (0.5055, 0.2579, 0.8249)
Na (0.5138, 0.5014, 0.5204)
Na (0.5159, 0.0158, 0.5217)
Co (0.5240, 0.7579, 0.0973)
Co (0.9918, 0.2546, 0.4246)
B (0.0238, 0.2580, 0.6951)
B (0.4908, 0.7580, 0.8266)
S (0.0432, 0.7576, 0.3427)
S (0.4723, 0.2579, 0.1799)
O (0.0465, 0.2582, 0.8455)
O (0.1925, 0.2576, 0.2150)
O (0.2335, 0.2619, 0.5953)
O (0.2813, 0.7579, 0.9266)
O (0.3232, 0.7579, 0.3078)
O (0.4682, 0.7583, 0.6762)
O (0.5381, 0.4328, 0.0879)
O (0.5390, 0.0832, 0.0875)
O (0.6133, 0.2572, 0.3214)
O (0.7234, 0.7577, 0.8991)
O (0.7913, 0.2537, 0.6229)
O (0.9024, 0.7578, 0.2010)
O (0.9758, 0.9326, 0.4347)
O (0.9771, 0.5832, 0.4349)